# 1
Below is a relaxed Na6Sc3NbSi2P4O24 crystal, with properties calculated at the PBE level.

```
Na6Sc3NbSi2P4O24
1.0
-6.734 -0.922 5.996
-1.568 -1.424 -8.817
5.333 -21.972 2.596
O Na P Si Sc Nb
72 18 12 6 9 3
Direct
0.168 0.692 0.756
0.971 0.184 0.305
0.467 0.309 0.028
0.178 0.966 0.191
0.134 0.641 0.079
0.637 0.511 0.635
0.810 0.787 0.308
0.171 0.982 0.910
0.211 0.026 0.310
0.143 0.488 0.578
0.525 0.691 0.260
0.520 0.839 0.757
0.692 0.546 0.525
0.780 0.967 0.692
0.025 0.826 0.410
0.487 0.356 0.137
0.358 0.496 0.363
0.361 0.864 0.578
0.637 0.491 0.925
0.301 0.455 0.472
0.539 0.839 0.474
0.503 0.642 0.578
0.132 0.502 0.860
0.819 0.029 0.802
0.349 0.489 0.079
0.684 0.158 0.743
0.305 0.484 0.757
0.976 0.803 0.086
0.640 0.127 0.140
0.505 0.149 0.926
0.455 0.152 0.528
0.497 0.630 0.861
0.198 0.169 0.086
0.499 0.858 0.360
0.497 0.364 0.421
0.975 0.168 0.587
0.850 0.522 0.744
0.816 0.979 0.410
0.165 0.473 0.260
0.856 0.368 0.925
0.821 0.824 0.910
0.640 0.147 0.420
0.134 0.637 0.362
0.032 0.215 0.194
0.034 0.822 0.698
0.175 0.216 0.691
0.866 0.505 0.420
0.834 0.037 0.087
0.843 0.531 0.027
0.974 0.783 0.807
0.486 0.123 0.638
0.025 0.190 0.910
0.299 0.842 0.976
0.690 0.164 0.030
0.492 0.158 0.245
0.537 0.695 0.974
0.877 0.357 0.639
0.212 0.179 0.808
0.685 0.529 0.245
0.849 0.306 0.528
0.868 0.507 0.136
0.823 0.810 0.588
0.156 0.458 0.976
0.842 0.312 0.244
0.783 0.826 0.198
0.504 0.870 0.078
0.158 0.697 0.470
0.366 0.867 0.859
0.174 0.198 0.410
0.314 0.828 0.259
0.196 0.028 0.589
0.482 0.308 0.744
0.668 0.968 0.584
0.297 0.964 0.083
0.962 0.294 0.417
0.663 0.334 0.830
0.997 0.358 0.748
0.985 0.993 0.996
0.663 0.335 0.329
0.363 0.005 0.750
0.334 0.659 0.163
0.323 0.294 0.915
0.701 0.671 0.418
0.335 0.036 0.415
0.332 0.665 0.666
0.037 0.337 0.082
0.997 0.992 0.502
0.641 0.009 0.248
0.975 0.680 0.916
0.301 0.333 0.586
0.667 0.043 0.085
0.002 0.295 0.250
0.707 0.705 0.252
0.372 0.039 0.584
0.955 0.623 0.084
0.669 0.629 0.582
0.376 0.335 0.084
0.332 0.378 0.417
0.961 0.334 0.584
0.705 0.998 0.749
0.001 0.706 0.751
0.044 0.667 0.416
0.631 0.672 0.919
0.294 0.006 0.250
0.628 0.960 0.418
0.042 0.373 0.919
0.334 0.956 0.918
0.296 0.295 0.750
0.340 0.668 0.017
0.665 0.342 0.685
0.002 0.001 0.348
0.333 0.670 0.519
0.002 0.998 0.651
0.667 0.331 0.484
0.999 0.003 0.852
0.999 0.991 0.150
0.663 0.338 0.187
0.667 0.330 0.978
0.332 0.671 0.311
0.338 0.663 0.816
```

Values from the calculation:
Energy relative to the elements (eV/f.u.): -121.0
SG: No. 1
Total DFT energy (no corrections) (eV per atom): -7.321
Total magnetic moment (Bohr magnetons per cell): 0.00

=====

# 2
Below is a relaxed Na3ScNb3Si3P3O24 crystal, with properties calculated at the PBE level.

```
Na3ScNb3Si3P3O24
1.0
8.908 -0.002 0.001
-4.456 7.742 0.005
0.003 0.016 22.945
O Nb P Na Sc Si
72 9 9 9 3 9
Direct
0.471 0.304 0.027
0.697 0.159 0.029
0.841 0.533 0.745
0.172 0.971 0.195
0.977 0.171 0.592
0.676 0.511 0.245
0.882 0.515 0.138
0.016 0.829 0.413
0.352 0.861 0.575
0.698 0.535 0.525
0.644 0.498 0.925
0.876 0.363 0.638
0.813 0.837 0.907
0.804 0.839 0.194
0.165 0.976 0.907
0.506 0.861 0.075
0.488 0.122 0.638
0.977 0.805 0.804
0.637 0.147 0.425
0.486 0.366 0.143
0.168 0.469 0.973
0.841 0.302 0.529
0.827 0.022 0.804
0.194 0.026 0.592
0.854 0.357 0.926
0.806 0.968 0.412
0.637 0.118 0.140
0.532 0.699 0.973
0.802 0.972 0.696
0.195 0.173 0.804
0.029 0.831 0.696
0.634 0.506 0.641
0.303 0.469 0.757
0.211 0.036 0.303
0.505 0.145 0.925
0.467 0.306 0.746
0.472 0.155 0.242
0.463 0.159 0.529
0.162 0.187 0.412
0.532 0.834 0.757
0.170 0.199 0.696
0.821 0.794 0.309
0.498 0.649 0.575
0.839 0.817 0.593
0.498 0.636 0.859
0.141 0.648 0.075
0.138 0.502 0.859
0.353 0.504 0.074
0.516 0.693 0.255
0.167 0.692 0.474
0.135 0.633 0.360
0.842 0.538 0.029
0.034 0.204 0.195
0.976 0.806 0.091
0.853 0.493 0.425
0.969 0.177 0.303
0.371 0.502 0.359
0.182 0.161 0.091
0.138 0.493 0.575
0.309 0.475 0.473
0.309 0.835 0.255
0.167 0.698 0.757
0.693 0.159 0.745
0.025 0.188 0.907
0.526 0.831 0.473
0.500 0.868 0.359
0.835 0.304 0.242
0.830 0.024 0.090
0.511 0.369 0.425
0.301 0.833 0.974
0.168 0.470 0.255
0.364 0.862 0.859
0.001 0.001 0.856
0.661 0.331 0.978
0.998 0.998 0.145
0.335 0.666 0.520
0.333 0.667 0.814
0.333 0.667 0.316
0.668 0.334 0.479
0.333 0.663 0.019
0.997 0.997 0.645
0.379 0.045 0.584
0.956 0.335 0.585
0.999 0.289 0.250
0.288 0.998 0.250
0.288 0.288 0.750
0.712 0.001 0.750
0.665 0.044 0.084
0.999 0.712 0.750
0.957 0.622 0.083
0.005 0.005 0.496
0.667 0.333 0.831
0.370 0.364 0.249
0.334 0.666 0.666
0.706 0.674 0.415
0.329 0.665 0.165
0.638 0.002 0.249
0.001 0.001 0.000
0.673 0.336 0.333
0.671 0.344 0.183
0.665 0.336 0.686
0.001 0.000 0.355
0.334 0.953 0.917
0.045 0.669 0.418
0.624 0.960 0.418
0.376 0.334 0.084
0.327 0.371 0.418
0.622 0.667 0.916
0.664 0.620 0.584
0.044 0.379 0.917
0.712 0.706 0.251
```

Values from the calculation:
Energy relative to the elements (eV/f.u.): -111.1
SG: No. 1
Total DFT energy (no corrections) (eV per atom): -7.744
Total magnetic moment (Bohr magnetons per cell): 0.00

=====

# 3
Below is a relaxed Na8Sc3NbSi4P2O24 crystal, with properties calculated at the PBE level.

```
Na8Sc3NbSi4P2O24
1.0
9.195 -0.001 0.001
-4.598 7.966 -0.003
0.003 -0.007 22.491
O Si Nb P Sc Na
72 12 3 6 9 24
Direct
0.309 0.485 0.758
0.638 0.514 0.644
0.839 0.311 0.246
0.978 0.187 0.305
0.488 0.359 0.143
0.967 0.809 0.085
0.849 0.495 0.424
0.474 0.157 0.246
0.813 0.791 0.305
0.500 0.635 0.861
0.816 0.824 0.911
0.689 0.157 0.028
0.165 0.690 0.757
0.146 0.504 0.580
0.791 0.813 0.193
0.687 0.528 0.246
0.502 0.650 0.580
0.116 0.625 0.358
0.510 0.145 0.922
0.511 0.869 0.079
0.974 0.162 0.584
0.305 0.847 0.977
0.635 0.490 0.922
0.014 0.186 0.912
0.172 0.984 0.912
0.978 0.788 0.807
0.468 0.154 0.528
0.781 0.957 0.692
0.874 0.510 0.143
0.642 0.126 0.139
0.133 0.499 0.860
0.155 0.701 0.475
0.481 0.123 0.640
0.187 0.977 0.193
0.201 0.029 0.586
0.817 0.990 0.410
0.677 0.162 0.747
0.509 0.883 0.358
0.363 0.864 0.861
0.376 0.490 0.358
0.311 0.837 0.252
0.211 0.182 0.810
0.838 0.312 0.527
0.473 0.309 0.026
0.829 0.032 0.086
0.816 0.025 0.810
0.852 0.360 0.923
0.009 0.827 0.410
0.511 0.827 0.758
0.188 0.163 0.085
0.153 0.457 0.977
0.849 0.529 0.747
0.358 0.867 0.579
0.644 0.151 0.424
0.021 0.208 0.193
0.684 0.522 0.527
0.211 0.023 0.305
0.299 0.453 0.475
0.035 0.818 0.695
0.873 0.359 0.644
0.527 0.688 0.252
0.545 0.699 0.977
0.358 0.503 0.080
0.485 0.325 0.747
0.160 0.472 0.252
0.844 0.809 0.585
0.175 0.214 0.692
0.545 0.845 0.475
0.504 0.350 0.424
0.172 0.182 0.410
0.835 0.523 0.026
0.148 0.650 0.080
0.961 0.628 0.085
0.372 0.334 0.085
0.295 0.295 0.751
0.667 0.630 0.585
0.963 0.335 0.585
0.627 0.962 0.417
0.039 0.373 0.919
0.333 0.959 0.919
0.040 0.667 0.417
0.628 0.668 0.919
0.334 0.371 0.417
0.703 0.999 0.751
0.672 0.338 0.481
0.336 0.665 0.815
0.664 0.337 0.979
0.375 0.042 0.584
0.295 0.999 0.249
0.000 0.294 0.249
0.705 0.706 0.249
0.667 0.044 0.084
0.004 0.708 0.751
0.001 0.005 0.851
0.334 0.663 0.516
0.667 0.335 0.684
0.668 0.338 0.184
0.334 0.666 0.320
0.003 0.000 0.146
0.993 0.004 0.648
0.330 0.664 0.018
0.000 0.000 0.354
0.003 0.000 0.998
0.329 0.662 0.166
0.978 0.301 0.416
0.002 0.632 0.252
0.997 0.999 0.500
0.293 0.959 0.081
0.707 0.029 0.913
0.976 0.680 0.914
0.662 0.700 0.083
0.367 0.369 0.252
0.334 0.662 0.660
0.640 0.634 0.742
0.369 0.012 0.748
0.327 0.025 0.417
0.632 0.998 0.254
0.297 0.339 0.584
0.992 0.355 0.744
0.037 0.701 0.582
0.043 0.341 0.083
0.319 0.291 0.913
0.663 0.327 0.827
0.665 0.331 0.334
0.666 0.958 0.581
0.697 0.676 0.416
```

Values from the calculation:
Energy relative to the elements (eV/f.u.): -126.7
SG: No. 1
Total DFT energy (no corrections) (eV per atom): -7.170
Total magnetic moment (Bohr magnetons per cell): 0.00